Density functional theory data (r2SCAN) for a relaxed CeCuSi crystal.

The total energy comes out at -17.4612 eV per atom. As for the volume: 20.46 Å³ per atom. Its symmetry is P6_3/mmc (194). As for the total moment: 1.026 μB per formula unit. The calculated formation energy is -640.8 meV per atom.

```
CeCuSi
1.0
4.173 0.000 0.000
-2.087 3.614 0.000
0.000 0.000 8.139
Ce Cu Si
2 2 2
direct
0.000 0.000 0.000
0.000 0.000 0.500
0.333 0.667 0.250
0.667 0.333 0.750
0.333 0.667 0.750
0.667 0.333 0.250
```